# PBE LaNi5Sn, optimized geometry
data_LaNi5Sn
_cell_length_a 4.9499
_cell_length_b 4.9499
_cell_length_c 19.8765
_cell_angle_alpha 90.00
_cell_angle_beta 90.00
_cell_angle_gamma 120.00
_space_group_name_H-M_alt 'P 63/m m c'
_space_group_IT_number 194
_space_group_name_Hall '-P 6c 2c'
loop_
_atom_site_label
_atom_site_fract_x
_atom_site_fract_y
_atom_site_fract_z
_atom_site_occupancy
La1 0.0000 0.0000 0.0000 1
La2 0.3333 0.6667 0.2500 1
Ni1 0.0000 0.0000 0.2500 1
Ni2 0.1652 0.3304 0.6460 1
Ni3 0.3333 0.6667 0.5439 1
Ni4 0.3333 0.6667 0.7500 1
Sn1 0.3333 0.6667 0.0876 1
# Energy of formation = -364 meV/atom

=====

# PBE LaNiSn2, optimized geometry
data_LaNiSn2
_cell_length_a 4.5477
_cell_length_b 18.2439
_cell_length_c 4.5996
_cell_angle_alpha 90.00
_cell_angle_beta 90.00
_cell_angle_gamma 90.00
_space_group_name_H-M_alt 'C m c m'
_space_group_IT_number 63
_space_group_name_Hall '-C 2c 2'
loop_
_atom_site_label
_atom_site_fract_x
_atom_site_fract_y
_atom_site_fract_z
_atom_site_occupancy
La1 0.0000 0.1098 0.2500 1
Ni1 0.0000 0.3168 0.2500 1
Sn1 0.0000 0.2510 0.7500 1
Sn2 0.0000 0.4531 0.2500 1
# Energy of formation = -654 meV/atom

=====

# PBE LaNi2Sn2, optimized geometry
data_LaNi2Sn2
_cell_length_a 4.4814
_cell_length_b 4.4814
_cell_length_c 10.5006
_cell_angle_alpha 90.00
_cell_angle_beta 90.00
_cell_angle_gamma 90.00
_space_group_name_H-M_alt 'I 4/m m m'
_space_group_IT_number 139
_space_group_name_Hall '-I 4 2'
loop_
_atom_site_label
_atom_site_fract_x
_atom_site_fract_y
_atom_site_fract_z
_atom_site_occupancy
La1 0.0000 0.0000 0.0000 1
Ni1 0.0000 0.5000 0.2500 1
Sn1 0.0000 0.0000 0.3620 1
# Energy of formation = -517 meV/atom

=====

# PBE LaNiSn, optimized geometry
data_LaNiSn
_cell_length_a 7.8108
_cell_length_b 4.7540
_cell_length_c 7.2958
_cell_angle_alpha 90.00
_cell_angle_beta 90.00
_cell_angle_gamma 90.00
_space_group_name_H-M_alt 'P n m a'
_space_group_IT_number 62
_space_group_name_Hall '-P 2ac 2n'
loop_
_atom_site_label
_atom_site_fract_x
_atom_site_fract_y
_atom_site_fract_z
_atom_site_occupancy
La1 0.0314 0.2500 0.1846 1
Ni1 0.1758 0.7500 0.4252 1
Sn1 0.1769 0.2500 0.6007 1
# Energy of formation = -633 meV/atom

=====

# PBE LaNi4Sn2, optimized geometry
data_LaNi4Sn2
_cell_length_a 7.7703
_cell_length_b 7.7703
_cell_length_c 7.9264
_cell_angle_alpha 90.00
_cell_angle_beta 90.00
_cell_angle_gamma 90.00
_space_group_name_H-M_alt 'I 4/m c m'
_space_group_IT_number 140
_space_group_name_Hall '-I 4 2c'
loop_
_atom_site_label
_atom_site_fract_x
_atom_site_fract_y
_atom_site_fract_z
_atom_site_occupancy
La1 0.0000 0.0000 0.2500 1
Ni1 0.1381 0.3619 0.1640 1
Sn1 0.1592 0.3408 0.5000 1
# Energy of formation = -433 meV/atom

=====

# PBE La2NiSn4, optimized geometry
data_La2NiSn4
_cell_length_a 4.5291
_cell_length_b 4.5505
_cell_length_c 17.8473
_cell_angle_alpha 90.00
_cell_angle_beta 90.00
_cell_angle_gamma 90.00
_space_group_name_H-M_alt 'A m m 2'
_space_group_IT_number 38
_space_group_name_Hall 'A 2 -2'
loop_
_atom_site_label
_atom_site_fract_x
_atom_site_fract_y
_atom_site_fract_z
_atom_site_occupancy
La1 0.0000 0.0000 0.0000 1
La2 0.5000 0.0000 0.2116 1
Ni1 0.0000 0.0000 0.7946 1
Sn1 0.0000 0.0000 0.3650 1
Sn2 0.0000 0.0000 0.6543 1
Sn3 0.5000 0.0000 0.5512 1
Sn4 0.5000 0.0000 0.8628 1
# Energy of formation = -663 meV/atom

=====

# PBE LaNi2Sn2, optimized geometry
data_LaNi2Sn2
_cell_length_a 4.4895
_cell_length_b 4.4895
_cell_length_c 10.2132
_cell_angle_alpha 90.00
_cell_angle_beta 90.00
_cell_angle_gamma 90.00
_space_group_name_H-M_alt 'P 4/n m m'
_space_group_IT_number 129
loop_
_space_group_symop_operation_xyz
'x,y,z'
'-x,-y,-z'
'-y+1/2,x,z'
'y+1/2,-x,-z'
'-x+1/2,-y+1/2,z'
'x+1/2,y+1/2,-z'
'y,-x+1/2,z'
'-y,x+1/2,-z'
'x+1/2,-y,-z'
'-x+1/2,y,z'
'-y,-x,-z'
'y,x,z'
'-x,y+1/2,-z'
'x,-y+1/2,z'
'y+1/2,x+1/2,-z'
'-y+1/2,-x+1/2,z'
loop_
_atom_site_label
_atom_site_fract_x
_atom_site_fract_y
_atom_site_fract_z
_atom_site_occupancy
La1 0.2500 0.2500 0.2424 1
Ni1 0.2500 0.2500 0.6275 1
Ni2 0.2500 0.7500 0.0000 1
Sn1 0.2500 0.2500 0.8761 1
Sn2 0.2500 0.7500 0.5000 1
# Energy of formation = -565 meV/atom

=====

# PBE La2ZnNi2, optimized geometry
data_La2ZnNi2
_cell_length_a 4.3891
_cell_length_b 5.5343
_cell_length_c 8.4837
_cell_angle_alpha 90.00
_cell_angle_beta 90.00
_cell_angle_gamma 90.00
_space_group_name_H-M_alt 'I m m m'
_space_group_IT_number 71
_space_group_name_Hall '-I 2 2'
loop_
_atom_site_label
_atom_site_fract_x
_atom_site_fract_y
_atom_site_fract_z
_atom_site_occupancy
La1 0.0000 0.0000 0.1992 1
Zn1 0.0000 0.5000 0.0000 1
Ni1 0.0000 0.2578 0.5000 1
# Energy of formation = -359 meV/atom

=====

# PBE LaZn4Ni, optimized geometry
data_LaZn4Ni
_cell_length_a 5.3080
_cell_length_b 5.3080
_cell_length_c 4.2861
_cell_angle_alpha 90.00
_cell_angle_beta 90.00
_cell_angle_gamma 120.00
_space_group_name_H-M_alt 'P -6 m 2'
_space_group_IT_number 187
_space_group_name_Hall 'P -6 2'
loop_
_atom_site_label
_atom_site_fract_x
_atom_site_fract_y
_atom_site_fract_z
_atom_site_occupancy
La1 0.0000 0.0000 0.0000 1
Zn1 0.0074 0.5037 0.5000 1
Zn2 0.6667 0.3333 0.0000 1
Ni1 0.3333 0.6667 0.0000 1
# Energy of formation = -343 meV/atom

=====

# PBE LaNp3, optimized geometry
data_LaNp3
_cell_length_a 4.5676
_cell_length_b 4.5676
_cell_length_c 4.5676
_cell_angle_alpha 90.00
_cell_angle_beta 90.00
_cell_angle_gamma 90.00
_space_group_name_H-M_alt 'P m -3 m'
_space_group_IT_number 221
_space_group_name_Hall '-P 4 2 3'
loop_
_atom_site_label
_atom_site_fract_x
_atom_site_fract_y
_atom_site_fract_z
_atom_site_occupancy
La1 0.0000 0.0000 0.0000 1
Np1 0.0000 0.5000 0.5000 1
# Energy of formation = 706 meV/atom

=====

# PBE La2O3, optimized geometry
data_La2O3
_cell_length_a 11.4019
_cell_length_b 11.4019
_cell_length_c 11.4019
_cell_angle_alpha 90.00
_cell_angle_beta 90.00
_cell_angle_gamma 90.00
_space_group_name_H-M_alt 'I a -3'
_space_group_IT_number 206
_space_group_name_Hall '-I 2b 2c 3'
loop_
_atom_site_label
_atom_site_fract_x
_atom_site_fract_y
_atom_site_fract_z
_atom_site_occupancy
La1 0.0000 0.2500 0.4710 1
La2 0.2500 0.2500 0.2500 1
O1 0.1108 0.1481 0.6214 1
# Energy of formation = -3874 meV/atom

=====

# PBE LaO3, optimized geometry
data_LaO3
_cell_length_a 5.7115
_cell_length_b 5.7115
_cell_length_c 4.4567
_cell_angle_alpha 90.00
_cell_angle_beta 90.00
_cell_angle_gamma 120.00
_space_group_name_H-M_alt 'P 63/m'
_space_group_IT_number 176
_space_group_name_Hall '-P 6c'
loop_
_atom_site_label
_atom_site_fract_x
_atom_site_fract_y
_atom_site_fract_z
_atom_site_occupancy
La1 0.3333 0.6667 0.2500 1
O1 0.1455 0.4250 0.7500 1
# Energy of formation = -2030 meV/atom

=====

# PBE LaO3, optimized geometry
data_LaO3
_cell_length_a 4.6613
_cell_length_b 4.8800
_cell_length_c 7.5972
_cell_angle_alpha 107.76
_cell_angle_beta 91.51
_cell_angle_gamma 116.69
_space_group_name_H-M_alt 'P 1'
_space_group_IT_number 1
_space_group_name_Hall 'P 1'
loop_
_atom_site_label
_atom_site_fract_x
_atom_site_fract_y
_atom_site_fract_z
_atom_site_occupancy
La1 0.0000 0.0000 0.0000 1
La2 0.2774 0.5620 0.5278 1
O1 0.0255 0.0474 0.3066 1
O2 0.2338 0.5139 0.2207 1
O3 0.3943 0.7827 0.9176 1
O4 0.5333 0.0810 0.8731 1
O5 0.7442 0.4797 0.6539 1
O6 0.8831 0.7783 0.6098 1
# Energy of formation = -1939 meV/atom

=====

# PBE La2O3, optimized geometry
data_La2O3
_cell_length_a 6.3703
_cell_length_b 6.3703
_cell_length_c 3.2899
_cell_angle_alpha 90.00
_cell_angle_beta 90.00
_cell_angle_gamma 120.00
_space_group_name_H-M_alt 'P 3 2 1'
_space_group_IT_number 150
_space_group_name_Hall 'P 3 2"'
loop_
_atom_site_label
_atom_site_fract_x
_atom_site_fract_y
_atom_site_fract_z
_atom_site_occupancy
La1 0.3333 0.6667 0.0019 1
O1 0.0000 0.5046 0.5000 1
# Energy of formation = -3640 meV/atom

=====

# PBE LaO2, optimized geometry
data_LaO2
_cell_length_a 4.3071
_cell_length_b 3.9341
_cell_length_c 6.3639
_cell_angle_alpha 90.00
_cell_angle_beta 99.94
_cell_angle_gamma 90.00
_space_group_name_H-M_alt 'P 1 21/m 1'
_space_group_IT_number 11
_space_group_name_Hall '-P 2yb'
loop_
_atom_site_label
_atom_site_fract_x
_atom_site_fract_y
_atom_site_fract_z
_atom_site_occupancy
La1 0.1953 0.2500 0.3005 1
O1 0.1731 0.7500 0.0455 1
O2 0.2554 0.7500 0.5309 1
# Energy of formation = -3090 meV/atom

=====

# PBE LaO3, optimized geometry
data_LaO3
_cell_length_a 4.6613
_cell_length_b 4.8800
_cell_length_c 7.5972
_cell_angle_alpha 107.76
_cell_angle_beta 91.51
_cell_angle_gamma 116.69
_space_group_name_H-M_alt 'P -1'
_space_group_IT_number 2
_space_group_name_Hall '-P 1'
loop_
_atom_site_label
_atom_site_fract_x
_atom_site_fract_y
_atom_site_fract_z
_atom_site_occupancy
La1 0.1196 0.4818 0.2371 1
O1 0.1503 0.7752 0.4582 1
O2 0.2089 0.3081 0.8918 1
O3 0.4041 0.6526 0.8449 1
# Energy of formation = -1704 meV/atom

=====

# PBE LaO3, optimized geometry
data_LaO3
_cell_length_a 4.6613
_cell_length_b 4.8800
_cell_length_c 7.5972
_cell_angle_alpha 107.76
_cell_angle_beta 91.51
_cell_angle_gamma 116.69
_space_group_name_H-M_alt 'P -1'
_space_group_IT_number 2
_space_group_name_Hall '-P 1'
loop_
_atom_site_label
_atom_site_fract_x
_atom_site_fract_y
_atom_site_fract_z
_atom_site_occupancy
La1 0.1175 0.2553 0.2629 1
O1 0.3080 0.1830 0.0418 1
O2 0.3171 0.9163 0.3918 1
O3 0.4408 0.6923 0.6551 1
# Energy of formation = -1422 meV/atom

=====

# PBE La2O3, optimized geometry
data_La2O3
_cell_length_a 6.2668
_cell_length_b 6.2668
_cell_length_c 3.2998
_cell_angle_alpha 90.00
_cell_angle_beta 90.00
_cell_angle_gamma 120.00
_space_group_name_H-M_alt 'P -6 2 m'
_space_group_IT_number 189
_space_group_name_Hall 'P -6 -2'
loop_
_atom_site_label
_atom_site_fract_x
_atom_site_fract_y
_atom_site_fract_z
_atom_site_occupancy
La1 0.3333 0.6667 0.0000 1
O1 0.0000 0.5080 0.5000 1
# Energy of formation = -3634 meV/atom

=====

# PBE La2O3, optimized geometry
data_La2O3
_cell_length_a 4.5724
_cell_length_b 4.5724
_cell_length_c 4.5724
_cell_angle_alpha 90.00
_cell_angle_beta 90.00
_cell_angle_gamma 90.00
_space_group_name_H-M_alt 'P m -3 m'
_space_group_IT_number 221
_space_group_name_Hall '-P 4 2 3'
loop_
_atom_site_label
_atom_site_fract_x
_atom_site_fract_y
_atom_site_fract_z
_atom_site_occupancy
La1 0.0000 0.0000 0.0000 1
La2 0.5000 0.5000 0.5000 1
O1 0.0000 0.0000 0.5000 1
# Energy of formation = -2983 meV/atom

=====

# PBE La2O3, optimized geometry
data_La2O3
_cell_length_a 3.9383
_cell_length_b 3.9383
_cell_length_c 6.1803
_cell_angle_alpha 90.00
_cell_angle_beta 90.00
_cell_angle_gamma 120.00
_space_group_name_H-M_alt 'P -3 m 1'
_space_group_IT_number 164
_space_group_name_Hall '-P 3 2"'
loop_
_atom_site_label
_atom_site_fract_x
_atom_site_fract_y
_atom_site_fract_z
_atom_site_occupancy
La1 0.3333 0.6667 0.2471 1
O1 0.0000 0.0000 0.0000 1
O2 0.3333 0.6667 0.6454 1
# Energy of formation = -3850 meV/atom

=====

# PBE La2O3, optimized geometry
data_La2O3
_cell_length_a 14.7637
_cell_length_b 3.7981
_cell_length_c 9.2243
_cell_angle_alpha 90.00
_cell_angle_beta 100.30
_cell_angle_gamma 90.00
_space_group_name_H-M_alt 'C 1 2/m 1'
_space_group_IT_number 12
_space_group_name_Hall '-C 2y'
loop_
_atom_site_label
_atom_site_fract_x
_atom_site_fract_y
_atom_site_fract_z
_atom_site_occupancy
La1 0.0330 0.0000 0.3120 1
La2 0.1345 0.5000 0.9925 1
La3 0.1904 0.5000 0.6383 1
O1 0.0000 0.5000 0.5000 1
O2 0.0258 0.5000 0.1567 1
O3 0.1281 0.0000 0.7863 1
O4 0.1759 0.0000 0.4749 1
O5 0.2003 0.0000 0.1273 1
# Energy of formation = -3845 meV/atom

=====

# PBE La3OsO7, optimized geometry
data_La3OsO7
_cell_length_a 11.2093
_cell_length_b 7.5702
_cell_length_c 7.7046
_cell_angle_alpha 90.00
_cell_angle_beta 90.00
_cell_angle_gamma 90.00
_space_group_name_H-M_alt 'C m c m'
_space_group_IT_number 63
_space_group_name_Hall '-C 2c 2'
loop_
_atom_site_label
_atom_site_fract_x
_atom_site_fract_y
_atom_site_fract_z
_atom_site_occupancy
La1 0.0000 0.0000 0.0000 1
La2 0.2230 0.3083 0.2500 1
Os1 0.0000 0.5000 0.0000 1
O1 0.0000 0.4204 0.2500 1
O2 0.1244 0.3165 0.5392 1
O3 0.1305 0.0291 0.2500 1
# Energy of formation = -3171 meV/atom

=====

| no. | volume (Å³/f.u.) |
| --- | --- |
| 1 | 105.4 |
| 2 | 95.4 |
| 3 | 105.4 |
| 4 | 67.7 |
| 5 | 119.6 |
| 6 | 183.9 |
| 7 | 102.9 |
| 8 | 103.0 |
| 9 | 104.6 |
| 10 | 95.3 |
| 11 | 92.6 |
| 12 | 63.0 |
| 13 | 72.2 |
| 14 | 115.6 |
| 15 | 53.1 |
| 16 | 72.2 |
| 17 | 72.2 |
| 18 | 112.2 |
| 19 | 95.6 |
| 20 | 83.0 |
| 21 | 84.8 |
| 22 | 163.4 |